Material: CrP4O12
Method: DFT, PBE with a Hubbard U
State: relaxed

Cell and atoms, written as extended XYZ:
```
34
Lattice="5.159 0.000 0.000 0.000 13.568 0.000 -1.360 0.000 7.317" Properties=species:S:1:pos:R:3 pbc="T T T"
Cr 0.008 0.000 0.051
Cr 3.791 6.784 7.266
P 0.949 7.991 2.706
P 1.351 12.825 2.917
P 1.184 4.930 6.829
P 1.198 1.869 6.898
P 2.600 8.653 0.419
P 2.614 11.713 0.488
P 2.447 6.041 4.401
P 2.850 1.207 4.612
O 0.089 9.155 3.001
O 0.318 6.892 1.816
O 0.374 13.478 1.923
O -0.279 5.141 7.141
O -0.257 1.656 7.233
O 0.236 7.887 6.908
O 0.808 12.121 4.082
O 0.266 12.519 7.008
O 1.452 7.272 4.030
O 2.268 10.190 0.202
O 1.428 5.101 5.262
O 1.440 1.614 5.335
O 2.359 8.397 1.982
O 2.370 11.884 2.056
O 1.531 3.407 7.116
O 2.346 0.488 3.287
O 2.991 5.337 3.235
O 3.533 5.735 0.310
O 3.562 1.103 0.409
O 4.056 8.440 0.085
O 4.078 11.925 0.176
O 3.425 6.694 5.394
O 3.480 0.108 5.501
O 3.709 2.371 4.316
```

VASP energy (eV/cell): -244.18
Total magnetization (μB/cell): 3.999
Crystal system: monoclinic
Mass density (g cm⁻³): 2.4

Material: CrP2O7
Method: DFT, PBE with a Hubbard U
State: relaxed

Cell and atoms, written as extended XYZ:
```
40
Lattice="4.752 -4.032 0.000 4.752 4.032 0.000 -4.573 0.000 12.354" Properties=species:S:1:pos:R:3 pbc="T T T"
Cr -0.549 2.157 10.561
Cr 3.193 2.157 7.969
Cr 1.738 -2.157 4.384
Cr 5.480 -2.157 1.792
P -3.054 0.332 11.485
P -0.767 -0.332 5.308
P 0.251 0.691 7.857
P 2.538 -0.691 1.680
P 2.393 0.691 10.673
P 4.680 -0.691 4.496
P 5.698 0.332 7.045
P 7.985 -0.332 0.869
O 0.686 3.675 10.567
O 1.958 3.675 7.964
O -0.395 1.820 8.682
O 3.801 2.492 0.098
O -0.395 0.801 6.391
O -1.787 0.705 10.720
O 2.195 0.711 2.197
O 3.417 2.492 6.079
O 1.892 -0.801 0.214
O 0.500 -0.705 4.544
O 1.752 0.900 7.687
O -0.091 -0.711 8.374
O 0.893 0.900 10.843
O 3.039 1.820 9.848
O 1.892 -1.820 2.505
O 4.038 -0.900 1.510
O 5.022 0.711 3.980
O 3.179 -0.900 4.667
O 4.431 0.705 7.810
O 3.039 0.801 12.139
O 1.514 -2.492 6.275
O 2.736 -0.711 10.157
O 6.718 -0.705 1.633
O 5.326 -0.801 5.962
O 1.130 -2.492 12.256
O 5.326 -1.820 3.671
O 2.973 -3.675 4.390
O 4.245 -3.675 1.787
```

VASP energy (eV/cell): -290.27
Total magnetization (μB/cell): 8.000
Crystal system: monoclinic
Mass density (g cm⁻³): 3.2

Material: CrP4O12
Method: DFT, PBE with a Hubbard U
State: relaxed

Cell and atoms, written as extended XYZ:
```
68
Lattice="9.060 0.000 0.000 0.000 10.454 0.000 -0.271 0.000 9.336" Properties=species:S:1:pos:R:3 pbc="T T T"
Cr 2.087 2.200 4.525
Cr 1.951 3.026 9.193
Cr 6.838 7.427 0.143
Cr 6.702 8.253 4.811
P 0.267 1.119 1.940
P 0.132 4.108 6.608
P 1.945 6.341 6.496
P 2.081 9.340 1.828
P 2.117 0.216 7.125
P 2.252 5.011 2.457
P 3.913 1.192 1.970
P 3.778 4.035 6.638
P 5.011 6.419 2.698
P 4.876 9.262 7.367
P 6.537 5.443 6.879
P 6.672 10.237 2.211
P 6.708 1.114 7.508
P 6.844 4.113 2.840
P 8.657 6.345 2.728
P 8.522 9.335 7.396
O 0.561 5.621 6.163
O 0.697 10.059 1.495
O 0.730 2.115 0.922
O 0.595 3.112 5.590
O 0.673 1.342 3.372
O 0.538 3.885 8.040
O 1.167 6.140 2.866
O 1.031 9.540 7.534
O 2.037 0.524 5.654
O 2.173 4.703 0.986
O 2.079 7.629 5.729
O 2.215 8.052 1.061
O 2.029 1.364 8.075
O 2.164 3.863 3.407
O 2.113 6.687 7.960
O 2.249 8.994 3.292
O 2.995 5.273 5.958
O 3.130 10.408 1.290
O 3.526 5.901 2.829
O 3.390 9.779 7.497
O 3.530 1.342 3.415
O 3.395 3.885 8.084
O 3.712 2.352 1.038
O 3.577 2.874 5.706
O 5.213 7.579 3.630
O 5.077 8.101 8.299
O 5.394 6.569 1.253
O 5.259 9.112 5.921
O 5.399 0.675 1.839
O 5.263 4.552 6.507
O 5.659 0.046 8.046
O 5.794 5.181 3.378
O 6.540 1.460 6.044
O 6.676 3.767 1.376
O 6.625 6.591 5.929
O 6.760 9.090 1.261
O 6.574 2.402 8.275
O 6.710 2.825 3.607
O 6.616 5.750 8.350
O 6.752 9.930 3.682
O 7.758 0.914 1.802
O 7.622 4.313 6.470
O 8.251 6.569 1.296
O 8.116 9.112 5.964
O 8.194 7.342 3.746
O 8.059 8.338 8.414
O 8.092 0.394 7.841
O 8.228 4.832 3.173
```

VASP energy (eV/cell): -486.46
Total magnetization (μB/cell): 7.996
Crystal system: monoclinic
Mass density (g cm⁻³): 2.8

Material: CrPO5
Method: DFT, PBE with a Hubbard U
State: relaxed

Cell and atoms, written as extended XYZ:
```
14
Lattice="3.429 -3.813 0.000 3.429 3.813 0.000 -2.864 0.000 6.830" Properties=species:S:1:pos:R:3 pbc="T T T"
Cr 1.997 2.093 3.415
Cr 3.429 -2.093 0.000
P -0.243 0.570 5.422
P 1.189 -0.570 2.007
O -1.031 1.452 6.422
O 0.154 0.303 1.259
O -1.278 -0.303 4.674
O 0.556 1.513 4.512
O 0.401 -1.452 3.007
O 2.200 0.323 2.787
O 0.768 -0.323 6.202
O 1.988 -1.513 1.097
O 3.265 1.062 5.594
O 4.697 -1.062 2.179
```

VASP energy (eV/cell): -99.07
Total magnetization (μB/cell): 2.001
Crystal system: monoclinic
Mass density (g cm⁻³): 3.0
Maximum piezoelectric response (C/m²): 2.4

Material: CrP4O11
Method: DFT, PBE with a Hubbard U
State: relaxed

Cell and atoms, written as extended XYZ:
```
64
Lattice="9.526 0.000 0.000 0.013 9.554 0.000 3.555 3.728 9.561" Properties=species:S:1:pos:R:3 pbc="T T T"
Cr 3.979 4.431 4.742
Cr 5.943 11.102 9.416
Cr 7.150 2.180 0.146
Cr 9.115 8.852 4.819
P 1.712 5.149 2.348
P 1.785 9.550 2.337
P 1.232 2.492 0.858
P 4.444 7.822 5.844
P 4.074 10.355 4.222
P 6.516 3.727 6.846
P 7.356 5.847 8.856
P 6.912 8.489 7.393
P 6.182 4.793 2.168
P 5.738 7.435 0.706
P 6.578 9.555 2.715
P 9.020 2.927 5.339
P 8.649 5.461 3.717
P 11.862 10.790 8.703
P 11.309 3.733 7.224
P 11.382 8.134 7.214
O 3.693 10.890 9.243
O 2.956 4.361 6.562
O 1.561 1.618 2.142
O 2.176 4.633 3.670
O 3.470 7.834 7.104
O 1.710 3.933 1.253
O 2.375 6.288 1.667
O 3.015 9.540 3.402
O 3.641 2.102 4.752
O 2.296 9.055 1.032
O 4.132 6.863 4.775
O 5.812 5.806 9.263
O 4.488 9.364 5.409
O 5.778 12.406 7.776
O 6.107 9.369 8.281
O 5.872 7.595 6.484
O 5.824 4.430 5.726
O 5.086 4.233 3.000
O 5.358 10.456 3.315
O 7.584 7.289 8.261
O 7.412 4.863 7.628
O 4.768 1.838 0.366
O 8.326 11.445 9.195
O 5.682 8.419 1.933
O 5.510 5.993 1.300
O 7.735 2.827 6.247
O 8.008 9.049 6.561
O 7.270 8.852 3.835
O 7.222 5.687 3.077
O 6.986 3.914 1.280
O 7.315 0.877 1.786
O 8.606 3.918 4.153
O 7.281 7.477 0.298
O 8.962 6.419 4.787
O 10.798 4.227 8.529
O 9.453 11.181 4.809
O 10.078 3.742 6.159
O 10.719 6.995 7.894
O 11.384 9.349 8.308
O 9.624 5.448 2.457
O 10.917 8.649 5.891
O 11.533 11.664 7.419
O 10.138 8.921 2.999
O 9.401 2.392 0.318
```

VASP energy (eV/cell): -465.93
Total magnetization (μB/cell): 16.006
Crystal system: triclinic
Mass density (g cm⁻³): 2.7

Material: CrP3O9
Method: DFT, PBE with a Hubbard U
State: relaxed

Cell and atoms, written as extended XYZ:
```
78
Lattice="6.647 -9.683 0.000 6.647 9.683 0.000 -5.729 0.000 7.637" Properties=species:S:1:pos:R:3 pbc="T T T"
Cr 3.782 8.114 3.818
Cr 6.741 4.870 0.228
Cr 3.776 1.696 3.795
Cr 0.912 -1.696 7.613
Cr 3.876 -4.870 4.047
Cr 6.647 -8.114 0.000
P 1.009 7.032 5.283
P 1.904 3.612 1.876
P 3.850 5.879 1.474
P -2.942 0.635 6.215
P -0.863 2.831 5.978
P -0.077 -0.635 2.397
P 0.929 0.482 5.033
P 3.793 -0.482 1.215
P 2.002 -2.831 2.160
P -0.961 -3.612 5.694
P 3.775 3.794 6.441
P 6.682 2.633 2.646
P 0.986 -5.879 5.292
P 8.482 0.351 1.778
P 3.874 -7.032 1.465
P 5.617 -0.351 5.596
P 3.817 -2.633 6.464
P 6.640 -3.794 2.623
O 1.492 2.598 0.858
O 2.923 4.613 1.119
O 3.329 6.490 2.745
O 5.113 8.676 2.419
O 0.596 6.315 6.532
O 2.431 7.510 5.192
O -2.417 0.026 4.946
O 0.448 -0.026 1.128
O -2.022 1.894 6.574
O -0.363 3.591 7.170
O 5.311 5.542 1.451
O 0.206 0.355 3.613
O 2.486 3.134 3.180
O -2.659 -0.355 7.431
O 0.312 1.864 5.519
O -1.372 -2.598 4.676
O 0.842 -1.894 2.756
O 2.298 4.007 6.613
O 3.370 0.623 2.132
O 8.160 6.115 0.951
O 4.394 5.194 6.004
O 0.505 -0.623 5.950
O 5.188 2.630 2.748
O 2.401 0.671 4.826
O 3.177 -1.864 1.701
O 7.281 3.613 1.679
O 4.192 2.723 5.484
O 5.266 -0.671 1.007
O 0.058 -4.613 4.937
O -0.379 -3.134 6.998
O 2.501 -3.591 3.352
O 10.212 3.599 0.219
O 7.214 1.174 2.300
O 5.178 0.396 4.371
O 7.333 2.802 4.091
O 8.043 -0.396 0.553
O 2.323 -2.630 6.566
O 9.522 1.427 1.213
O 4.349 -1.174 6.118
O 0.464 -6.490 6.563
O 3.460 -6.315 2.714
O 5.162 -4.007 2.795
O 7.056 -2.723 1.666
O 2.446 -5.542 5.269
O 6.169 0.403 6.765
O 4.416 -3.613 5.498
O 6.657 -1.427 5.031
O 5.295 -7.510 1.374
O 9.034 -0.403 2.947
O 10.197 -2.802 0.273
O 7.259 -5.194 2.185
O 7.347 -3.599 4.037
O 2.249 -8.676 6.238
O 5.296 -6.115 4.769
```

VASP energy (eV/cell): -576.47
Total magnetization (μB/cell): 18.008
Crystal system: monoclinic
Mass density (g cm⁻³): 2.9

Material: CrPO4
Method: DFT, PBE with a Hubbard U
State: relaxed

Cell and atoms, written as extended XYZ:
```
24
Lattice="4.741 -0.021 0.000 1.053 8.713 0.000 0.000 0.000 6.315" Properties=species:S:1:pos:R:3 pbc="T T T"
O 4.842 7.730 4.737
O 0.952 0.962 1.579
O 1.280 5.424 0.296
O 0.522 1.249 4.737
O 4.514 3.268 3.453
O 2.670 7.636 6.020
O 2.375 3.097 1.579
O 4.514 3.268 6.020
O 3.419 5.595 4.737
O 3.124 1.056 2.862
O 1.280 5.424 2.862
O 5.272 7.443 1.579
O 1.945 3.384 4.737
O 3.124 1.056 0.296
O 3.849 5.308 1.579
O 2.670 7.636 3.453
P 2.451 1.505 1.579
P 0.446 2.841 4.737
P 5.348 5.851 1.579
P 3.343 7.187 4.737
Cr 2.897 4.346 3.158
Cr 2.897 4.346 0.000
Cr 0.000 0.000 3.158
Cr 0.000 0.000 0.000
```

VASP energy (eV/cell): -182.35
Mass density (g cm⁻³): 3.7

Material: CrP4O12
Method: DFT, PBE with a Hubbard U
State: relaxed

Cell and atoms, written as extended XYZ:
```
34
Lattice="8.414 -6.146 0.000 8.414 6.146 0.000 -0.752 0.000 5.099" Properties=species:S:1:pos:R:3 pbc="T T T"
Cr 4.207 3.073 0.000
Cr 4.207 -3.073 0.000
P 6.536 3.543 4.158
P 4.981 1.498 2.695
P 9.540 3.543 0.941
P 4.981 -1.498 2.695
P 11.094 1.498 2.404
P 6.536 -3.543 4.158
P 11.094 -1.498 2.404
P 9.540 -3.543 0.941
O 5.299 3.739 5.020
O 7.020 4.748 3.419
O 3.785 1.895 3.523
O 9.056 4.748 1.680
O 4.836 1.593 1.201
O 6.305 2.274 3.166
O 8.414 2.867 0.000
O 10.776 3.739 0.079
O 5.431 0.000 3.052
O 3.785 -1.895 3.523
O 9.770 2.274 1.933
O 4.836 -1.593 1.201
O 11.239 1.593 3.898
O 6.305 -2.274 3.166
O 12.291 1.895 1.576
O 10.644 0.000 2.047
O 5.299 -3.739 5.020
O 8.414 -2.867 0.000
O 9.770 -2.274 1.933
O 11.239 -1.593 3.898
O 7.020 -4.748 3.419
O 12.291 -1.895 1.576
O 9.056 -4.748 1.680
O 10.776 -3.739 0.079
```

VASP energy (eV/cell): -244.07
Total magnetization (μB/cell): 3.998
Crystal system: monoclinic
Mass density (g cm⁻³): 2.3